## MnAlO3 (GGA+U)

Data for crystalline MnAlO3 at its relaxed geometry.

a = 5.6045 Å, b = 5.6045 Å, c = 11.3949 Å
α = 90.00°, β = 90.00°, γ = 120.00°
Closest atoms and distances in Å follow each position.
Sites, in units of the cell vectors:
O (0.3220, 0.0000, 0.1761)  1 Mn 1.99, 3 Al 2.01-2.08
Al (0.6667, 0.3333, 0.7508)  6 O 2.03-2.08
O (0.6536, 0.0000, 0.3273)  1 Mn 1.99, 3 Al 2.03-2.11
Mn (0.0000, 0.6669, 0.5017)  5 O 1.87-1.99
O (0.0000, 0.6536, 0.3273)  1 Mn 1.99, 3 Al 2.03-2.11
O (0.3333, 0.6667, 0.0094)  3 Mn 1.87
O (0.6536, 0.6536, 0.8273)  1 Mn 1.99, 3 Al 2.03-2.11
Mn (0.6669, 0.0000, 0.5017)  5 O 1.87-1.99
Al (0.6667, 0.3333, 0.2508)  6 O 2.03-2.08
O (0.3464, 0.0000, 0.8273)  1 Mn 1.99, 3 Al 2.03-2.11
O (0.0000, 0.0000, 0.9849)  3 Mn 1.88
O (0.6667, 0.3333, 0.0094)  3 Mn 1.87
O (0.3464, 0.3464, 0.3273)  1 Mn 1.99, 3 Al 2.03-2.11
Mn (0.0000, 0.3331, 0.0017)  5 O 1.87-1.99
O (0.6780, 0.0000, 0.6761)  1 Mn 1.99, 3 Al 2.01-2.08
Mn (0.6669, 0.6669, 0.0017)  5 O 1.87-1.99
O (0.0000, 0.3220, 0.1761)  1 Mn 1.99, 3 Al 2.01-2.08
Al (0.0000, 0.0000, 0.2543)  6 O 2.01-2.11
O (0.0000, 0.3464, 0.8273)  1 Mn 1.99, 3 Al 2.03-2.11
Mn (0.3331, 0.0000, 0.0017)  5 O 1.87-1.99
Al (0.3333, 0.6667, 0.2508)  6 O 2.03-2.08
Al (0.0000, 0.0000, 0.7543)  6 O 2.01-2.11
Al (0.3333, 0.6667, 0.7508)  6 O 2.03-2.08
O (0.0000, 0.6780, 0.6761)  1 Mn 1.99, 3 Al 2.01-2.08
O (0.3220, 0.3220, 0.6761)  1 Mn 1.99, 3 Al 2.01-2.08
O (0.6667, 0.3333, 0.5094)  3 Mn 1.87
O (0.0000, 0.0000, 0.4849)  3 Mn 1.88
O (0.3333, 0.6667, 0.5094)  3 Mn 1.87
O (0.6780, 0.6780, 0.1761)  1 Mn 1.99, 3 Al 2.01-2.08
Mn (0.3331, 0.3331, 0.5017)  5 O 1.87-1.99

spin magnetization	4.0	μB/f.u.
formation enthalpy at 0 K	-2.45	eV per atom

## Li7Co5O12 (GGA+U)

Data for crystalline Li7Co5O12 at its relaxed geometry.

a = 7.7906 Å, b = 7.7906 Å, c = 10.1399 Å
α = 70.25°, β = 70.25°, γ = 21.22°
Closest atoms and distances in Å follow each position.
Sites, in units of the cell vectors:
O (0.5817, 0.5817, 0.0352)  3 Co 2.01-2.02, 3 Li 2.10-2.18
Li (0.1650, 0.1650, 0.5795)  6 O 2.01-2.24
O (0.4069, 0.4069, 0.4767)  1 Co 1.79
Li (0.5004, 0.5004, 0.7412)  6 O 2.14-2.18
Li (0.8350, 0.8350, 0.4205)  6 O 2.01-2.24
O (0.9144, 0.9144, 0.2030)  3 Co 2.02-2.03, 3 Li 2.12-2.14
O (0.0856, 0.0856, 0.7970)  3 Co 2.02-2.03, 3 Li 2.12-2.14
Li (0.8344, 0.8344, 0.9146)  6 O 2.04-2.20
Co (0.6681, 0.6681, 0.8330)  6 O 2.00-2.03
O (0.7489, 0.7489, 0.1387)  3 Co 2.00-2.02, 3 Li 2.11-2.20
Co (0.3319, 0.3319, 0.1670)  6 O 2.00-2.03
Co (0.3380, 0.3380, 0.6591)  5 O 1.79-1.94
O (0.7598, 0.7598, 0.6343)  3 Co 1.94-2.02, 1 Li 2.08
O (0.0946, 0.0946, 0.2970)  2 Co 1.91, 2 Li 2.04-2.07
O (0.2402, 0.2402, 0.3657)  3 Co 1.94-2.02, 1 Li 2.08
Li (0.4996, 0.4996, 0.2588)  6 O 2.14-2.18
O (0.4183, 0.4183, 0.9648)  3 Co 2.01-2.02, 3 Li 2.10-2.18
Co (0.6620, 0.6620, 0.3409)  5 O 1.79-1.94
Li (0.0000, 0.0000, 0.5000)  6 O 2.07-2.09
O (0.2511, 0.2511, 0.8613)  3 Co 2.00-2.02, 3 Li 2.11-2.20
O (0.5931, 0.5931, 0.5233)  1 Co 1.79
O (0.9054, 0.9054, 0.7030)  2 Co 1.91, 2 Li 2.04-2.07
Co (0.0000, 0.0000, 0.0000)  6 O 2.01-2.02
Li (0.1656, 0.1656, 0.0854)  6 O 2.04-2.20

spin magnetization	2.0	μB/f.u.
ΔE to the lowest computed polymorph	48	meV/atom
formation enthalpy at 0 K	-1.71	eV per atom

## NaFeS2O2 (GGA+U)

Data for crystalline NaFeS2O2 at its relaxed geometry.

a = 6.7041 Å, b = 6.7041 Å, c = 6.5561 Å
α = 64.05°, β = 64.05°, γ = 79.39°
Closest atoms and distances in Å follow each position.
Sites, in units of the cell vectors:
Na (0.5712, 0.4288, 0.7500)  4 O 2.34-2.36
S (0.9588, 0.7244, 0.1479)  1 O 1.56
Na (0.4288, 0.5712, 0.2500)  4 O 2.34-2.36
O (0.5752, 0.7452, 0.8130)  1 S 1.56
S (0.0412, 0.2756, 0.8521)  1 O 1.56
Fe (0.0113, 0.9887, 0.7500)  4 S 2.33-2.36
O (0.4248, 0.2548, 0.1870)  1 S 1.56
O (0.2548, 0.4248, 0.6870)  1 S 1.56
Fe (0.9887, 0.0113, 0.2500)  4 S 2.33-2.36
O (0.7452, 0.5752, 0.3130)  1 S 1.56
S (0.7244, 0.9588, 0.6479)  1 O 1.56
S (0.2756, 0.0412, 0.3521)  1 O 1.56

spin magnetization	3.0	μB/f.u.
ΔE to the lowest computed polymorph	0	meV/atom
formation enthalpy at 0 K	-0.84	eV per atom

## Li3Mn4B4O12 (GGA+U)

Data for crystalline Li3Mn4B4O12 at its relaxed geometry.

a = 5.2749 Å, b = 10.3735 Å, c = 13.9736 Å
α = 91.32°, β = 100.42°, γ = 91.48°
Closest atoms and distances in Å follow each position.
Sites, in units of the cell vectors:
O (0.0694, 0.8726, 0.0804)  1 B 1.38
O (0.5862, 0.1639, 0.4894)  1 B 1.41
B (0.0102, 0.1314, 0.8328)  3 O 1.36-1.42
O (0.2051, 0.3481, 0.0478)  1 B 1.35
O (0.8539, 0.3551, 0.3760)  1 B 1.37
Mn (0.6565, 0.6338, 0.1701)  5 O 2.09-2.24
O (0.7975, 0.9479, 0.5874)  1 B 1.43
B (0.9835, 0.8863, 0.1672)  3 O 1.38-1.41
O (0.9501, 0.1047, 0.9214)  1 B 1.36
B (0.3282, 0.1349, 0.4971)  3 O 1.37-1.41
O (0.8753, 0.3236, 0.6324)  1 B 1.43
Mn (0.6704, 0.3842, 0.4928)  4 O 2.06-2.17
O (0.4285, 0.6692, 0.0302)  1 B 1.39
O (0.5703, 0.3424, 0.9694)  1 B 1.42
O (0.4975, 0.9252, 0.9234)  1 B 1.40
O (0.4812, 0.5988, 0.2903)  1 B 1.38
Li (0.7567, 0.6706, 0.3910)  4 O 1.95-2.10
Li (0.2246, 0.3995, 0.6143)  4 O 2.03-2.12
O (0.4942, 0.0946, 0.0818)  1 B 1.39
O (0.0594, 0.5926, 0.1893)  1 B 1.41
Li (0.0792, 0.6723, 0.0587)  4 O 1.92-2.10
Mn (0.3223, 0.6342, 0.4996)  5 O 2.10-2.33
O (0.1393, 0.9463, 0.2497)  1 B 1.41
O (0.7725, 0.8545, 0.4258)  1 B 1.35
O (0.2745, 0.4122, 0.4676)  1 B 1.38
O (0.7224, 0.5869, 0.5233)  1 B 1.40
B (0.2207, 0.6213, 0.2794)  3 O 1.38-1.41
O (0.4114, 0.8379, 0.5069)  1 B 1.38
O (0.9205, 0.1674, 0.1571)  1 B 1.41
B (0.5399, 0.6277, 0.9522)  3 O 1.35-1.43
O (0.1554, 0.0985, 0.4119)  1 B 1.40
O (0.0794, 0.8358, 0.8451)  1 B 1.41
O (0.9687, 0.4220, 0.7917)  1 B 1.38
Mn (0.7868, 0.8754, 0.7227)  4 O 2.04-2.22
O (0.5858, 0.1415, 0.2533)  1 B 1.36
Li (0.5603, 0.3989, 0.2749)  4 O 1.97-2.14
B (0.6652, 0.1338, 0.1658)  3 O 1.36-1.41
B (0.3391, 0.8667, 0.8417)  3 O 1.36-1.41
Li (0.8926, 0.9016, 0.9447)  4 O 1.97-2.16
O (0.8320, 0.1015, 0.7477)  1 B 1.40
O (0.2566, 0.1850, 0.8259)  1 B 1.42
Mn (0.9761, 0.6253, 0.8351)  5 O 2.05-2.23
Mn (0.5733, 0.1314, 0.9418)  5 O 2.08-2.22
O (0.5275, 0.3633, 0.7217)  1 B 1.37
O (0.1121, 0.6687, 0.3563)  1 B 1.39
O (0.7961, 0.6423, 0.9528)  1 B 1.35
O (0.2255, 0.3271, 0.3009)  1 B 1.43
B (0.7844, 0.3692, 0.7172)  3 O 1.37-1.43
O (0.7443, 0.8374, 0.1769)  1 B 1.38
Mn (0.0090, 0.3872, 0.1558)  4 O 2.02-2.25
Mn (0.8730, 0.1308, 0.6049)  5 O 1.93-2.07
Mn (0.2127, 0.1325, 0.2700)  5 O 1.96-2.09
Li (0.7830, 0.1556, 0.3813)  4 O 1.90-2.10
O (0.1489, 0.5951, 0.6201)  1 B 1.38
Mn (0.1244, 0.8827, 0.3904)  5 O 2.02-2.26
Mn (0.3298, 0.3803, 0.8481)  5 O 1.98-2.21
B (0.6599, 0.8804, 0.5030)  3 O 1.35-1.43
O (0.3736, 0.5717, 0.8686)  1 B 1.43
O (0.4373, 0.8377, 0.7609)  1 B 1.36
Li (0.4478, 0.1698, 0.7147)  4 O 1.94-2.14
O (0.6190, 0.4212, 0.1367)  1 B 1.39
B (0.8891, 0.6171, 0.6118)  3 O 1.38-1.40
Mn (0.4498, 0.8857, 0.0653)  5 O 2.06-2.28
Li (0.1302, 0.1615, 0.0481)  4 O 1.92-2.04
Li (0.4242, 0.6583, 0.7216)  3 O 1.92-2.03
B (0.1160, 0.3659, 0.3832)  3 O 1.37-1.43
O (0.7847, 0.6648, 0.6897)  1 B 1.39
B (0.4605, 0.3720, 0.0522)  3 O 1.35-1.42
O (0.2478, 0.1451, 0.5846)  1 B 1.37

spin magnetization	19.0	μB/f.u.
ΔE to the lowest computed polymorph	10	meV/atom
formation enthalpy at 0 K	-2.46	eV per atom